! Sm11Co40B40, relaxed, DFT GGA-PBE; values from VASP
&SYSTEM
  ibrav = 0, nat = 182, ntyp = 3
/
ATOMIC_SPECIES
Sm 150.36 Sm.upf
Co 58.93 Co.upf
B 10.81 B.upf
CELL_PARAMETERS angstrom
7.039 0.000 0.000
0.000 7.039 0.000
0.000 0.000 38.626
ATOMIC_POSITIONS angstrom
Sm 0.000 0.000 0.000
Sm 0.000 0.000 3.525
Sm 0.000 0.000 7.050
Sm 0.000 0.000 10.543
Sm 0.000 0.000 14.041
Sm 0.000 0.000 17.556
Sm 0.000 0.000 21.070
Sm 0.000 0.000 24.584
Sm 0.000 0.000 28.082
Sm 0.000 0.000 31.576
Sm 0.000 0.000 35.101
Sm 3.520 3.520 1.757
Sm 3.520 3.520 5.271
Sm 3.520 3.520 8.770
Sm 3.520 3.520 12.263
Sm 3.520 3.520 15.788
Sm 3.520 3.520 19.313
Sm 3.520 3.520 22.838
Sm 3.520 3.520 26.363
Sm 3.520 3.520 29.856
Sm 3.520 3.520 33.354
Sm 3.520 3.520 36.869
Co 0.818 2.488 33.288
Co 0.820 2.504 37.103
Co 0.820 4.550 15.880
Co 0.826 4.509 19.706
Co 0.824 4.528 12.060
Co 0.839 2.542 29.441
Co 0.841 2.564 2.325
Co 0.855 4.459 8.186
Co 0.867 4.437 23.587
Co 0.883 2.618 25.545
Co 0.901 2.636 6.232
Co 0.918 4.386 4.274
Co 0.940 4.375 27.499
Co 0.956 2.679 21.638
Co 0.978 2.680 10.128
Co 0.989 4.346 0.394
Co 1.008 4.344 31.373
Co 1.016 2.700 17.790
Co 1.030 4.339 35.193
Co 1.031 2.702 13.975
Co 2.488 6.222 5.338
Co 2.489 0.820 22.745
Co 2.504 6.219 1.523
Co 2.511 0.824 26.565
Co 2.530 0.826 18.919
Co 2.542 6.200 9.185
Co 2.564 6.199 36.301
Co 2.580 0.855 30.440
Co 2.602 0.867 15.039
Co 2.618 6.156 13.081
Co 2.636 6.138 32.393
Co 2.653 0.918 34.352
Co 2.665 0.940 11.127
Co 2.680 6.062 28.498
Co 2.679 6.084 16.988
Co 2.693 0.989 38.232
Co 2.696 1.008 7.252
Co 2.700 1.030 3.432
Co 2.702 6.008 24.651
Co 2.700 6.023 20.836
Co 4.340 1.016 20.836
Co 4.337 1.031 24.651
Co 4.339 6.009 3.432
Co 4.344 6.031 7.252
Co 4.346 6.050 38.232
Co 4.360 0.956 16.988
Co 4.359 0.978 28.498
Co 4.375 6.100 11.127
Co 4.386 6.122 34.352
Co 4.403 0.901 32.393
Co 4.421 0.883 13.081
Co 4.437 6.172 15.039
Co 4.459 6.184 30.440
Co 4.475 0.841 36.301
Co 4.497 0.839 9.185
Co 4.509 6.213 18.919
Co 4.528 6.215 26.565
Co 4.536 0.820 1.523
Co 4.550 6.219 22.745
Co 4.551 0.818 5.338
Co 6.008 4.337 13.975
Co 6.009 2.700 35.193
Co 6.023 4.340 17.790
Co 6.031 2.696 31.373
Co 6.050 2.693 0.394
Co 6.062 4.359 10.128
Co 6.084 4.360 21.638
Co 6.100 2.665 27.499
Co 6.122 2.653 4.274
Co 6.138 4.403 6.232
Co 6.156 4.421 25.545
Co 6.172 2.602 23.587
Co 6.184 2.580 8.186
Co 6.199 4.475 2.325
Co 6.200 4.497 29.441
Co 6.215 2.511 12.060
Co 6.213 2.530 19.706
Co 6.219 2.489 15.880
Co 6.219 4.536 37.103
Co 6.222 4.551 33.288
B 1.148 2.067 15.877
B 1.150 2.117 19.701
B 1.146 4.960 37.098
B 1.156 4.967 33.279
B 1.163 4.867 2.318
B 1.167 2.122 12.047
B 1.177 4.860 29.427
B 1.186 2.237 23.574
B 1.205 2.237 8.169
B 1.226 4.758 6.214
B 1.238 4.745 25.527
B 1.283 2.315 27.481
B 1.282 2.334 4.261
B 1.341 4.697 10.114
B 1.347 4.683 21.630
B 1.398 2.352 31.360
B 1.403 2.370 0.389
B 1.441 4.665 17.786
B 1.453 2.372 35.190
B 1.448 4.676 13.966
B 2.072 1.156 5.347
B 2.067 5.892 22.748
B 2.079 1.146 1.527
B 2.122 5.872 26.579
B 2.117 5.890 18.924
B 2.173 1.163 36.308
B 2.179 1.177 9.199
B 2.237 5.835 30.457
B 2.237 5.853 15.051
B 2.282 1.226 32.412
B 2.294 1.238 13.099
B 2.315 5.757 11.144
B 2.334 5.757 34.364
B 2.343 1.341 28.512
B 2.352 5.642 7.266
B 2.357 1.347 16.995
B 2.363 1.448 24.660
B 2.374 1.441 20.840
B 2.372 5.587 3.435
B 2.370 5.636 38.237
B 4.669 1.403 38.237
B 4.667 1.453 3.435
B 4.665 5.599 20.840
B 4.676 5.592 24.660
B 4.683 5.692 16.995
B 4.687 1.398 7.266
B 4.697 5.699 28.512
B 4.706 1.282 34.364
B 4.724 1.283 11.144
B 4.745 5.801 13.099
B 4.758 5.813 32.412
B 4.802 1.186 15.051
B 4.802 1.205 30.457
B 4.860 5.862 9.199
B 4.867 5.876 36.308
B 4.923 1.150 18.924
B 4.917 1.167 26.579
B 4.960 5.894 1.527
B 4.972 1.148 22.748
B 4.967 5.883 5.347
B 5.592 2.363 13.966
B 5.587 4.667 35.190
B 5.599 2.374 17.786
B 5.636 4.669 0.389
B 5.642 4.687 31.360
B 5.692 2.357 21.630
B 5.699 2.343 10.114
B 5.757 4.706 4.261
B 5.757 4.724 27.481
B 5.801 2.294 25.527
B 5.813 2.282 6.214
B 5.835 4.802 8.169
B 5.853 4.802 23.574
B 5.862 2.179 29.427
B 5.872 4.917 12.047
B 5.876 2.173 2.318
B 5.883 2.072 33.279
B 5.894 2.079 37.098
B 5.890 4.923 19.701
B 5.892 4.972 15.877
! E ... -646.61 eV/f.u.
! Magnetic moment ... 0.000 μB per atom
! Space-group type ... P-42_1c
! E_form ... -0.4746 eV per atom

***

! Sm2Co14B, relaxed, DFT GGA-PBE; values from VASP
&SYSTEM
  ibrav = 0, nat = 68, ntyp = 3
/
ATOMIC_SPECIES
Sm 150.36 Sm.upf
Co 58.93 Co.upf
B 10.81 B.upf
CELL_PARAMETERS angstrom
8.626 0.000 0.000
0.000 8.626 0.000
0.000 0.000 11.764
ATOMIC_POSITIONS angstrom
Sm 1.254 1.254 0.000
Sm 1.936 1.936 5.882
Sm 2.377 6.249 0.000
Sm 3.059 5.567 5.882
Sm 5.567 3.059 5.882
Sm 6.249 2.377 0.000
Sm 6.690 6.690 5.882
Sm 7.372 7.372 0.000
Co 0.000 0.000 4.510
Co 0.000 0.000 7.254
Co 0.000 4.313 0.000
Co 0.000 4.313 5.882
Co 0.314 5.517 2.104
Co 0.314 5.517 9.660
Co 0.597 6.247 4.392
Co 0.597 6.247 7.372
Co 0.850 7.776 2.406
Co 0.850 7.776 9.358
Co 1.205 3.998 3.778
Co 1.205 3.998 7.985
Co 1.569 1.569 2.983
Co 1.569 1.569 8.781
Co 1.934 3.716 1.490
Co 1.934 3.716 10.274
Co 2.379 8.029 4.392
Co 2.379 8.029 7.372
Co 2.743 5.882 2.899
Co 2.743 5.882 8.865
Co 3.108 8.311 2.104
Co 3.108 8.311 9.660
Co 3.463 3.463 3.476
Co 3.463 3.463 8.288
Co 3.716 1.934 1.490
Co 3.716 1.934 10.274
Co 3.998 1.205 3.778
Co 3.998 1.205 7.985
Co 4.313 0.000 0.000
Co 4.313 0.000 5.882
Co 4.313 4.313 1.372
Co 4.313 4.313 10.392
Co 4.627 7.421 3.778
Co 4.627 7.421 7.985
Co 4.909 6.692 1.490
Co 4.909 6.692 10.274
Co 5.163 5.163 3.476
Co 5.163 5.163 8.288
Co 5.517 0.314 2.104
Co 5.517 0.314 9.660
Co 5.882 2.743 2.899
Co 5.882 2.743 8.865
Co 6.247 0.597 4.392
Co 6.247 0.597 7.372
Co 6.692 4.909 1.490
Co 6.692 4.909 10.274
Co 7.056 7.056 2.983
Co 7.056 7.056 8.781
Co 7.421 4.627 3.778
Co 7.421 4.627 7.985
Co 7.776 0.850 2.406
Co 7.776 0.850 9.358
Co 8.029 2.379 4.392
Co 8.029 2.379 7.372
Co 8.311 3.108 2.104
Co 8.311 3.108 9.660
B 1.056 7.570 5.882
B 3.257 3.257 0.000
B 5.369 5.369 0.000
B 7.570 1.056 5.882
! E ... -118.02 eV/f.u.
! Space-group type ... P4_2/mnm
! E_form ... -0.1407 eV per atom

***

! SmCo4B4, relaxed, DFT GGA-PBE; values from VASP
&SYSTEM
  ibrav = 0, nat = 18, ntyp = 3
/
ATOMIC_SPECIES
Sm 150.36 Sm.upf
Co 58.93 Co.upf
B 10.81 B.upf
CELL_PARAMETERS angstrom
7.016 0.000 0.000
0.000 7.016 0.000
0.000 0.000 3.802
ATOMIC_POSITIONS angstrom
Sm 1.754 1.754 0.950
Sm 5.262 5.262 2.851
Co 0.755 4.446 0.544
Co 0.938 6.262 2.445
Co 2.570 4.263 2.445
Co 2.753 6.078 0.544
Co 4.263 0.938 3.257
Co 4.446 2.753 1.357
Co 6.078 0.755 1.357
Co 6.262 2.570 3.257
B 0.336 6.401 0.555
B 0.615 3.844 2.456
B 2.893 6.681 2.456
B 3.172 4.123 0.555
B 3.844 2.893 3.247
B 4.123 0.336 1.346
B 6.401 3.172 1.346
B 6.681 0.615 3.247
! E ... -64.24 eV/f.u.
! Space-group type ... P4_2/n
! E_form ... -0.4860 eV per atom

***

! SmCo2B2, relaxed, DFT GGA-PBE; values from VASP
&SYSTEM
  ibrav = 0, nat = 5, ntyp = 3
/
ATOMIC_SPECIES
Sm 150.36 Sm.upf
Co 58.93 Co.upf
B 10.81 B.upf
CELL_PARAMETERS angstrom
-1.787 1.787 4.876
1.787 -1.787 4.876
1.787 1.787 -4.876
ATOMIC_POSITIONS angstrom
Sm 0.000 0.000 0.000
Co 1.787 0.000 2.438
Co 0.000 1.787 2.438
B 0.000 0.000 3.328
B 0.000 0.000 6.424
! E ... -34.89 eV/f.u.
! Space-group type ... I4/mmm
! E_form ... -0.5188 eV per atom